Entry 1:
A plane-wave DFT calculation with PBE with a Hubbard U was carried out for crystalline Rb2NiAgF6 at its relaxed geometry.

M_tot: 1.0 Bohr magnetons per cell
Space-group type: Fm-3m, No. 225
Mass density: 4.76 g/cm3
E_tot: -4.012 eV/atom
Total energy after the MP2020 corrections: -4.543 eV/atom

a = 6.0613 Å, b = 6.0613 Å, c = 6.0613 Å
α = 60.00°, β = 60.00°, γ = 60.00°
Fractional positions:
Rb1 0.2500 0.2500 0.2500
Rb2 0.7500 0.7500 0.7500
Ni1 0.0000 0.0000 0.0000
Ag1 0.5000 0.5000 0.5000
F1 0.2270 0.2270 0.7730
F2 0.2270 0.7730 0.2270
F3 0.2270 0.7730 0.7730
F4 0.7730 0.2270 0.2270
F5 0.7730 0.2270 0.7730
F6 0.7730 0.7730 0.2270

=====

Entry 2:
A plane-wave DFT calculation with PBE with a Hubbard U was carried out for crystalline VAg2O3F at its relaxed geometry.

M_tot: 0.0 Bohr magnetons per cell
Space-group type: P2_1/c, No. 14
Mass density: 5.74 g/cm3
E_tot: -5.496 eV/atom
Total energy after the MP2020 corrections: -6.099 eV/atom

a = 5.7082 Å, b = 10.6274 Å, c = 13.9349 Å
α = 90.00°, β = 114.10°, γ = 90.00°
Fractional positions:
V1 0.0605 0.0155 0.2855
V2 0.0605 0.4845 0.7855
V3 0.1271 0.7316 0.4140
V4 0.1271 0.7684 0.9140
V5 0.8729 0.2316 0.0860
V6 0.8729 0.2684 0.5860
V7 0.9395 0.5155 0.2145
V8 0.9395 0.9845 0.7145
Ag1 0.2208 0.2038 0.9170
Ag2 0.2208 0.2962 0.4170
Ag3 0.3331 0.0532 0.5648
Ag4 0.3331 0.4468 0.0648
Ag5 0.3547 0.0265 0.0965
Ag6 0.3547 0.4735 0.5965
Ag7 0.4217 0.7451 0.2240
Ag8 0.4217 0.7549 0.7240
Ag9 0.5783 0.2451 0.2760
Ag10 0.5783 0.2549 0.7760
Ag11 0.6453 0.5265 0.4035
Ag12 0.6453 0.9735 0.9035
Ag13 0.6669 0.5532 0.9352
Ag14 0.6669 0.9468 0.4352
Ag15 0.7792 0.7038 0.5830
Ag16 0.7792 0.7962 0.0830
O1 0.1048 0.5742 0.6919
O2 0.1048 0.9258 0.1919
O3 0.1569 0.6466 0.3089
O4 0.1569 0.8534 0.8089
O5 0.1841 0.2187 0.0939
O6 0.1841 0.2813 0.5939
O7 0.2085 0.6089 0.9027
O8 0.2085 0.8911 0.4027
O9 0.3306 0.1063 0.3343
O10 0.3306 0.3937 0.8343
O11 0.3432 0.6681 0.5315
O12 0.3432 0.8319 0.0315
O13 0.6568 0.1681 0.9685
O14 0.6568 0.3319 0.4685
O15 0.6694 0.6063 0.1657
O16 0.6694 0.8937 0.6657
O17 0.7915 0.1089 0.5973
O18 0.7915 0.3911 0.0973
O19 0.8159 0.7187 0.4061
O20 0.8159 0.7813 0.9061
O21 0.8431 0.1466 0.1911
O22 0.8431 0.3534 0.6911
O23 0.8952 0.0742 0.8081
O24 0.8952 0.4258 0.3081
F1 0.0555 0.6021 0.1030
F2 0.0555 0.8979 0.6030
F3 0.2838 0.0687 0.7439
F4 0.2838 0.4313 0.2439
F5 0.7162 0.5687 0.7561
F6 0.7162 0.9313 0.2561
F7 0.9445 0.1021 0.3970
F8 0.9445 0.3979 0.8970

=====

Entry 3:
A plane-wave DFT calculation with PBE with a Hubbard U was carried out for crystalline LaZnFeAgO6 at its relaxed geometry.

M_tot: 0.0 Bohr magnetons per cell
Mass density: 6.03 g/cm3
E_tot: -5.849 eV/atom
Total energy after the MP2020 corrections: -6.487 eV/atom

a = 5.1823 Å, b = 17.8675 Å, c = 5.5275 Å
α = 89.99°, β = 90.01°, γ = 92.02°
Fractional positions:
O1 0.2672 0.3000 0.7366
O2 0.8866 0.9039 0.5662
O3 0.7085 0.0303 0.2974
O4 0.7684 0.2144 0.7788
O5 0.6738 0.8443 0.0414
O6 0.2085 0.7802 0.2025
O7 0.7673 0.5500 0.7632
O8 0.1921 0.4530 0.1912
O9 0.2681 0.9644 0.7214
O10 0.8866 0.4039 0.5662
O11 0.2673 0.8000 0.7367
O12 0.6920 0.2031 0.3091
O13 0.1921 0.9530 0.1911
O14 0.3871 0.1538 0.9334
O15 0.2680 0.4644 0.7215
O16 0.7086 0.5303 0.2974
O17 0.3871 0.6538 0.9335
O18 0.1739 0.0943 0.4587
O19 0.2084 0.2803 0.2025
O20 0.1738 0.5943 0.4588
O21 0.6921 0.7031 0.3091
O22 0.6738 0.3444 0.0415
O23 0.7684 0.7144 0.7788
O24 0.7673 0.0500 0.7632
Fe1 0.0038 0.0015 0.5056
Fe2 0.5039 0.7515 0.9943
Fe3 0.0038 0.5015 0.5057
Fe4 0.5038 0.2515 0.9943
La1 0.4700 0.8775 0.4345
La2 0.9699 0.6275 0.0653
La3 0.9698 0.1275 0.0653
La4 0.4700 0.3775 0.4345
Ag1 0.4943 0.5016 0.9922
Ag2 0.4943 0.0016 0.9922
Ag3 0.9944 0.7516 0.5078
Ag4 0.9944 0.2516 0.5078
Zn1 0.5352 0.6235 0.5647
Zn2 0.0352 0.3735 0.9354
Zn3 0.0352 0.8735 0.9354
Zn4 0.5352 0.1235 0.5647

=====

ΔH_f (0 K) / eV per atom: -2.34, -1.60, -1.77